Entry 1:
50
Lattice="9.033 0.000 0.000 0.000 6.604 0.000 -0.221 0.000 10.555" Properties=species:S:1:pos:R:3 comment="Na5Mn2P2C2O14 GGA+U relaxed" mass_density_g_cm3=2.8 e_tot_ev_per_cell=-337.83 formation_enthalpy_0k_mev_per_atom=-2335 sg="No. 11" polymorph_energy_mev_per_atom=5 pbc="T T T"
Na 0.619 1.651 3.848
Na 2.164 6.602 1.242
Na 2.164 3.304 1.242
Na 2.154 0.048 6.702
Na 2.154 3.254 6.702
Na 6.659 3.349 3.853
Na 6.659 6.556 3.853
Na 6.648 0.002 9.313
Na 6.648 3.300 9.313
Na 8.194 4.953 6.707
Mn 3.117 4.953 3.798
Mn 3.038 4.953 9.101
Mn 5.774 1.651 1.454
Mn 5.695 1.651 6.757
P 3.700 1.651 4.220
P 3.631 1.651 9.484
P 5.181 4.953 1.071
P 5.112 4.953 6.335
C 0.511 4.953 4.118
C 0.435 4.953 9.296
C 8.377 1.651 1.258
C 8.301 1.651 6.437
O 0.617 1.651 1.333
O 0.549 1.651 6.357
O 1.149 4.953 2.980
O 1.139 4.953 8.168
O 1.121 4.953 10.385
O 1.241 4.953 5.207
O 2.835 0.415 3.825
O 2.835 2.887 3.825
O 2.819 0.391 9.082
O 2.819 2.911 9.082
O 3.782 4.953 1.735
O 3.740 4.953 7.024
O 3.898 1.651 5.781
O 4.014 1.651 0.497
O 4.798 4.953 10.058
O 4.914 4.953 4.774
O 5.073 1.651 3.530
O 5.030 1.651 8.820
O 5.994 3.693 1.473
O 5.994 6.212 1.473
O 5.977 3.716 6.730
O 5.977 6.189 6.730
O 7.571 1.651 5.348
O 7.691 1.651 0.170
O 7.673 1.651 2.386
O 7.664 1.651 7.575
O 8.263 4.953 4.198
O 8.195 4.953 9.222



Entry 2:
56
Lattice="0.000 7.075 7.193 7.010 0.000 7.193 7.010 7.075 0.000" Properties=species:S:1:pos:R:3 comment="Na5Mn2PC4O16 GGA+U relaxed" mass_density_g_cm3=2.6 e_tot_ev_per_cell=-380.32 formation_enthalpy_0k_mev_per_atom=-2073 sg="No. 22" polymorph_energy_mev_per_atom=2 pbc="T T T"
Na 7.010 7.075 2.952
Na 7.010 2.957 7.193
Na 11.095 7.075 7.193
Na 13.464 10.613 10.790
Na 10.515 10.613 7.809
Na 2.925 7.075 7.193
Na 7.010 11.193 7.193
Na 7.010 7.075 11.435
Na 10.515 10.613 13.771
Na 7.567 10.613 10.790
Mn 8.780 8.817 5.373
Mn 5.241 5.334 5.373
Mn 8.780 5.334 9.014
Mn 5.241 8.817 9.014
P 0.000 0.000 0.000
P 10.515 10.613 10.790
C 4.791 4.786 2.250
C 2.219 2.289 2.250
C 4.791 2.289 4.943
C 8.279 5.810 5.868
C 2.219 4.786 4.943
C 5.741 8.341 5.868
C 8.279 8.341 8.519
C 5.741 5.810 8.519
O 4.962 3.776 1.428
O 3.199 1.469 2.040
O 5.623 2.092 3.976
O 5.623 4.983 3.218
O 2.048 3.299 1.428
O 3.812 1.469 5.154
O 13.127 7.986 8.084
O 9.126 5.606 6.818
O 7.310 4.946 5.674
O 8.367 6.828 5.078
O 3.812 5.606 2.040
O 1.387 2.092 3.218
O 4.962 3.299 5.766
O 5.654 7.322 5.078
O 6.710 4.946 8.713
O 9.126 8.545 7.569
O 2.048 3.776 5.766
O 3.199 5.606 5.154
O 1.387 4.983 3.976
O 11.431 9.761 9.877
O 6.710 9.205 5.674
O 8.367 7.322 9.309
O 4.894 5.606 7.569
O 5.654 6.828 9.309
O 4.894 8.545 6.818
O 7.310 9.205 8.713
O 11.431 11.465 11.703
O 9.600 11.465 9.877
O 9.600 9.761 11.703
O 7.904 13.240 8.084
O 13.127 13.240 13.496
O 7.904 7.986 13.496



Entry 3:
75
Lattice="9.051 0.000 0.000 0.000 6.721 0.000 -0.197 0.000 15.777" Properties=species:S:1:pos:R:3 comment="Na5Mn2P2C2O14 GGA+U relaxed" mass_density_g_cm3=2.8 e_tot_ev_per_cell=-506.99 formation_enthalpy_0k_mev_per_atom=-2338 sg="No. 6" polymorph_energy_mev_per_atom=1 pbc="T T T"
Na 0.000 0.000 0.000
Na 1.247 1.655 8.043
Na 1.247 5.066 8.043
Na 1.546 1.610 2.836
Na 1.422 1.618 13.200
Na 1.422 5.103 13.200
Na 1.546 5.111 2.836
Na 5.940 1.695 0.074
Na 5.940 5.026 0.074
Na 6.046 1.711 5.417
Na 6.046 5.010 5.417
Na 6.020 1.690 10.539
Na 6.020 5.031 10.539
Na 7.392 3.361 13.306
Na 7.565 3.361 2.828
Mn 2.286 3.361 15.746
Mn 2.372 3.361 10.432
Mn 2.472 3.361 5.245
Mn 4.942 0.000 8.171
Mn 4.894 0.000 13.365
Mn 5.064 0.000 2.916
P 3.009 0.000 0.370
P 2.911 0.000 10.808
P 3.051 0.000 5.641
P 4.366 3.361 7.758
P 4.352 3.361 12.964
P 4.535 3.361 2.516
C 7.464 0.000 7.885
C 7.677 0.000 2.560
C 7.559 0.000 13.221
C 8.824 3.361 0.230
C 8.848 3.361 10.809
C 8.922 3.361 5.417
O 0.150 3.361 14.837
O 0.515 3.361 1.303
O 0.452 3.361 9.672
O 0.512 3.361 6.529
O 0.626 3.361 4.316
O 0.531 3.361 11.885
O 1.958 1.240 15.768
O 1.958 5.481 15.768
O 2.131 1.270 10.365
O 2.131 5.451 10.365
O 2.241 1.262 5.245
O 2.241 5.459 5.245
O 2.938 3.361 8.357
O 2.976 3.361 13.665
O 3.134 3.361 3.180
O 3.038 0.000 12.365
O 3.242 0.000 1.931
O 3.226 0.000 7.218
O 4.125 3.361 11.395
O 4.229 3.361 6.175
O 4.186 0.000 15.440
O 4.369 3.361 0.965
O 4.342 0.000 10.188
O 4.450 0.000 4.986
O 5.164 2.102 8.168
O 5.164 4.620 8.168
O 5.214 2.127 13.334
O 5.214 4.595 13.334
O 5.377 2.120 2.944
O 5.377 4.601 2.944
O 6.711 0.000 6.824
O 6.750 0.000 9.011
O 6.924 0.000 1.490
O 6.852 0.000 12.135
O 6.910 0.000 14.372
O 7.067 0.000 3.713
O 7.531 3.361 0.327
O 7.574 3.361 10.865
O 7.655 3.361 5.275
O 8.713 0.000 7.899
O 8.958 0.000 2.458
O 8.845 0.000 13.240



Entry 4:
48
Lattice="8.489 0.000 0.000 -2.112 8.282 0.000 -3.061 -3.999 8.911" Properties=species:S:1:pos:R:3 comment="Na2MnPCO7 GGA+U relaxed" mass_density_g_cm3=2.7 e_tot_ev_per_cell=-329.01 formation_enthalpy_0k_mev_per_atom=-2304 sg="No. 1" polymorph_energy_mev_per_atom=11 pbc="T T T"
Na 0.000 0.000 0.000
Na -3.540 6.305 4.346
Na 0.441 3.067 1.578
Na -1.007 4.296 4.467
Na 0.711 6.325 0.019
Na 3.312 4.292 0.008
Na 4.222 0.185 4.411
Na 2.830 -1.952 8.888
Mn -0.981 1.305 5.317
Mn -0.189 -3.068 7.986
Mn 2.092 5.361 5.330
Mn 3.033 1.098 7.945
P -2.585 -0.645 7.337
P 1.361 -1.108 5.946
P 0.582 3.419 7.367
P 4.550 3.118 5.951
C -1.276 1.079 2.861
C 3.078 1.200 1.526
C 1.866 5.156 2.825
C 6.290 5.333 1.528
O -2.751 2.644 5.106
O -1.560 6.162 0.753
O -2.166 5.339 2.780
O -3.466 3.713 7.323
O -1.840 -1.663 8.233
O -0.568 1.991 3.499
O -1.617 0.576 7.045
O 0.435 -2.356 6.277
O 2.338 0.292 0.885
O 0.531 -0.152 5.095
O 0.077 2.861 6.019
O 1.868 5.116 1.549
O 1.154 4.359 3.543
O -0.569 3.936 8.242
O 3.674 2.011 0.663
O 2.587 -1.634 5.152
O 3.159 1.278 2.751
O 1.820 -0.482 7.293
O 1.399 2.379 8.165
O 2.607 6.018 3.502
O 1.540 4.656 7.066
O 3.657 1.869 6.293
O 5.590 4.425 0.848
O 3.745 4.191 5.184
O 5.437 -1.240 5.995
O 7.203 1.066 1.594
O 6.591 0.257 3.648
O 4.727 -0.135 8.216



Entry 5:
44
Lattice="8.178 0.000 0.000 -1.419 8.080 0.000 -2.938 -3.895 9.016" Properties=species:S:1:pos:R:3 comment="NaMnPCO7 GGA+U relaxed" mass_density_g_cm3=2.6 e_tot_ev_per_cell=-308.30 formation_enthalpy_0k_mev_per_atom=-2163 sg="No. 1" polymorph_energy_mev_per_atom=19 pbc="T T T"
Na 0.000 0.000 0.000
Na -1.303 -1.960 4.780
Na -0.324 4.091 4.782
Na 3.436 4.084 0.019
Mn -0.961 0.901 3.789
Mn 3.277 1.079 0.995
Mn 2.418 4.943 3.790
Mn 6.654 5.102 0.902
P 0.677 2.888 1.763
P 1.593 -0.913 2.947
P 4.053 6.930 1.765
P 5.007 3.169 3.000
C -0.680 1.162 6.187
C -0.011 -3.034 7.630
C 2.651 5.258 6.185
C 3.370 0.995 7.519
O -1.455 0.260 5.619
O -0.229 1.687 2.167
O -0.076 3.860 0.837
O -0.422 6.549 1.673
O -1.655 4.938 6.411
O 0.462 -0.412 3.898
O -1.999 4.289 8.551
O -0.083 1.894 5.252
O 1.820 2.371 0.844
O -0.523 1.319 7.393
O 1.223 3.561 3.034
O 0.873 6.111 3.844
O 2.541 0.240 2.552
O 0.806 -2.165 8.170
O 1.867 4.359 5.622
O 3.125 5.747 2.169
O 4.734 -0.131 0.875
O 4.392 2.530 1.744
O 3.166 0.893 6.320
O 3.943 3.774 3.953
O 2.799 0.234 8.459
O 4.649 -2.081 5.246
O 5.152 6.385 0.810
O 4.267 -2.692 7.389
O 6.063 -0.513 3.034
O 5.799 2.195 3.897
O 4.178 1.874 8.097
O 5.967 4.334 2.582



Entry 6:
50
Lattice="10.333 0.000 0.000 0.000 6.716 0.000 -5.151 0.000 9.114" Properties=species:S:1:pos:R:3 comment="Na5Mn2P2C2O14 GGA+U relaxed" mass_density_g_cm3=2.8 e_tot_ev_per_cell=-337.83 formation_enthalpy_0k_mev_per_atom=-2335 sg="No. 11" polymorph_energy_mev_per_atom=5 pbc="T T T"
Na -1.338 1.679 3.848
Na 1.278 0.005 2.166
Na 1.278 3.352 2.166
Na -1.263 0.049 6.898
Na -1.263 3.309 6.898
Na 6.445 3.406 2.216
Na 6.445 6.667 2.216
Na 3.904 3.363 6.948
Na 3.904 6.710 6.948
Na 6.520 5.037 5.267
Mn 0.752 5.037 5.178
Mn 3.339 5.037 0.614
Mn 1.843 1.679 8.500
Mn 4.430 1.679 3.937
P 1.417 1.679 5.100
P 4.027 1.679 0.553
P 1.155 5.037 8.562
P 3.765 5.037 4.015
C -1.407 5.037 3.646
C -3.897 5.037 8.162
C 9.079 1.679 0.953
C 6.589 1.679 5.469
O -0.176 1.679 1.637
O -2.638 1.679 6.120
O -1.453 5.037 4.969
O 1.263 5.037 0.359
O -0.235 5.037 3.099
O -2.730 5.037 7.588
O 0.468 0.443 5.043
O 0.468 2.915 5.043
O 3.134 0.414 0.484
O 3.134 2.944 0.484
O 0.265 5.037 7.299
O 2.884 5.037 2.740
O 2.340 1.679 3.833
O -0.170 1.679 8.400
O 5.352 5.037 0.715
O 2.842 5.037 5.281
O 2.298 1.679 6.375
O 4.917 1.679 1.815
O 2.048 3.771 8.630
O 2.048 6.302 8.630
O 4.714 3.801 4.072
O 4.714 6.273 4.072
O 7.912 1.679 1.527
O 5.417 1.679 6.015
O 3.919 1.679 8.755
O 6.635 1.679 4.145
O 7.820 5.037 2.994
O 5.358 5.037 7.478



Entry 7:
44
Lattice="9.080 0.000 0.000 0.000 6.255 0.000 -0.341 0.000 10.440" Properties=species:S:1:pos:R:3 comment="NaMnPCO7 GGA+U relaxed" mass_density_g_cm3=2.6 e_tot_ev_per_cell=-308.78 formation_enthalpy_0k_mev_per_atom=-2174 sg="No. 14" polymorph_energy_mev_per_atom=8 pbc="T T T"
Na 2.140 0.190 1.312
Na 1.970 2.937 6.532
Na 6.769 3.318 3.908
Na 6.599 6.065 9.127
Mn 2.985 4.692 3.744
Mn 2.814 4.691 8.964
Mn 5.925 1.565 1.476
Mn 5.754 1.563 6.696
P 3.627 1.556 9.306
P 3.798 1.571 4.086
P 4.941 4.684 6.354
P 5.112 4.699 1.134
C 0.400 4.630 9.241
C 0.571 4.752 4.021
C 8.168 1.503 6.418
C 8.339 1.625 1.198
O 0.305 1.486 6.263
O 0.476 1.642 1.043
O 1.025 4.622 8.078
O 1.196 4.761 2.858
O 1.286 4.673 10.231
O 1.456 4.710 5.012
O 2.686 0.352 9.037
O 2.857 2.775 3.818
O 2.908 0.370 3.686
O 2.737 2.758 8.906
O 3.633 4.630 7.158
O 3.804 4.752 1.938
O 4.136 1.559 5.605
O 4.307 1.569 0.385
O 4.432 4.686 10.055
O 4.603 4.696 4.835
O 4.935 1.503 8.502
O 5.106 1.625 3.282
O 6.002 3.497 1.534
O 5.831 5.886 6.754
O 5.882 3.480 6.622
O 6.053 5.903 1.402
O 7.283 1.545 5.428
O 7.453 1.583 0.208
O 7.543 1.494 7.581
O 7.714 1.634 2.361
O 8.263 4.614 9.397
O 8.434 4.769 4.177